Compound: Li2CoSiO4
Source: the Materials Project database
Functional: GGA+U
Structure: optimized geometry

Values from the calculation:
Total magnetic moment ... 3.0 μB/f.u.
E (MP2020) ... -7.012 eV/atom

```
Li2CoSiO4
1.0
-0.270 -3.304 3.871
5.116 -3.053 -2.249
6.482 6.316 5.843
Li Co Si O
8 4 4 16
Direct
0.193 0.004 0.831 Li
0.307 0.004 0.331 Li
0.303 0.226 0.573 Li
0.197 0.226 0.073 Li
0.803 0.774 0.927 Li
0.697 0.774 0.427 Li
0.693 0.996 0.669 Li
0.807 0.996 0.169 Li
0.195 0.500 0.839 Co
0.695 0.500 0.661 Co
0.305 0.500 0.339 Co
0.805 0.500 0.161 Co
0.692 0.245 0.912 Si
0.808 0.245 0.412 Si
0.192 0.755 0.588 Si
0.308 0.755 0.088 Si
0.803 0.041 0.840 O
0.697 0.041 0.340 O
0.367 0.251 0.910 O
0.700 0.250 0.556 O
0.133 0.251 0.410 O
0.795 0.468 0.840 O
0.800 0.250 0.056 O
0.705 0.468 0.340 O
0.295 0.532 0.660 O
0.200 0.750 0.944 O
0.205 0.532 0.160 O
0.867 0.749 0.590 O
0.300 0.750 0.444 O
0.633 0.749 0.090 O
0.303 0.959 0.660 O
0.197 0.959 0.160 O
```